Entry from Materials Project: crystalline WO3 at its relaxed geometry (GGA+U).

The structure in extended XYZ format:
```
40
Lattice="-10.683 -4.758 -3.963 4.935 -1.769 -11.180 1.175 -3.536 1.078" Properties=species:S:1:pos:R:3 pbc="T T T"
O -1.503 -6.632 -13.202
O -0.866 -4.968 -8.358
O -5.980 -6.683 -8.351
O 1.419 -3.417 -5.703
O -3.149 -6.554 -11.084
O -3.081 -3.397 -0.874
O -3.918 -5.414 -13.454
O 4.259 -5.301 -8.098
O 2.487 -0.942 -5.573
O -5.148 -7.722 -12.747
O -0.632 -5.642 -10.905
O -6.402 -6.020 -5.785
O -1.097 -4.233 -5.719
O 0.573 -2.336 -1.320
O -8.349 -7.136 -7.256
O -1.424 -3.510 -2.981
O -3.478 -5.826 -8.347
O -3.705 -5.102 -5.705
O -4.294 -7.640 -6.449
O -3.064 -2.537 -4.949
O -4.186 -5.858 -0.921
O -8.242 -5.971 -3.608
O 3.671 -4.100 -10.455
O 3.788 -2.963 -6.798
O -3.953 -4.387 -3.170
O -7.661 -8.284 -4.893
O 1.830 -4.045 -8.279
O -1.825 -1.129 -1.684
O -2.679 -4.007 -10.189
O 0.891 -5.945 -6.542
W -2.459 -4.367 -4.390
W -8.271 -6.456 -5.453
W 0.284 -4.115 -7.098
W -3.307 -7.243 -12.898
W -2.068 -5.836 -9.632
W 3.652 -3.470 -8.654
W -1.219 -2.960 -1.125
W 3.105 -2.802 -5.005
W -4.903 -5.811 -7.009
W -4.804 -3.998 -1.488
```

## Properties
The formation energy comes out at -2.18 eV/atom. The calculation puts the total energy at -7.507 eV/atom.

***

Entry from Materials Project: crystalline W3O7 at its relaxed geometry (GGA+U).

The structure in extended XYZ format:
```
20
Lattice="3.858 0.000 0.000 0.000 6.361 0.000 0.000 0.000 11.642" Properties=species:S:1:pos:R:3 pbc="T T T"
W 1.892 3.180 8.467
W 1.877 0.000 5.821
W 1.981 3.180 0.000
W 1.966 0.000 2.646
W 1.892 3.180 3.176
W 1.966 0.000 8.997
O 0.039 3.180 0.000
O 1.906 5.037 7.409
O 3.833 3.180 3.349
O 1.952 4.504 1.588
O 1.906 5.037 4.233
O 0.025 0.000 9.170
O 1.952 4.504 10.055
O 1.906 1.323 4.233
O 1.906 1.323 7.409
O 0.025 0.000 2.472
O 1.952 1.857 10.055
O 3.819 0.000 5.821
O 3.833 3.180 8.294
O 1.952 1.857 1.588
```

## Properties
The formation energy comes out at -2.00 eV/atom. The spin magnetization comes out at 4.00 μB/f.u. The calculation puts the total energy at -7.538 eV/atom.

***

Q: What is the total energy in the first record?
A: -7.507 eV/atom

***

Q: Which of these has the lowest total energy?
A: W3O7